A plane-wave DFT calculation with PBE with a Hubbard U was carried out for crystalline Li12Mn3VP4C4O28 at its relaxed geometry.

Calculated values
**Magnetization**: 18.01 μB per formula unit
**Energy relative to the elements**: -2.417 eV/atom

Cell lengths 8.529, 6.621, 10.000 Å; angles 90.00, 94.56, 90.00 degrees
Fractional coordinates of all 52 atoms:
Li1 0.000 0.000 0.000
Li2 0.000 0.000 0.500
Li3 0.182 0.222 0.256
Li4 0.182 0.778 0.256
Li5 0.183 0.223 0.756
Li6 0.183 0.777 0.756
Li7 0.634 0.277 0.502
Li8 0.634 0.723 0.502
Li9 0.635 0.277 0.002
Li10 0.635 0.723 0.002
Li11 0.816 0.500 0.759
Li12 0.818 0.500 0.258
Mn1 0.249 0.500 0.989
Mn2 0.568 0.000 0.269
Mn3 0.568 0.000 0.769
V1 0.240 0.500 0.483
P1 0.319 0.000 0.019
P2 0.319 0.000 0.519
P3 0.497 0.500 0.738
P4 0.499 0.500 0.240
C1 0.876 0.000 0.231
C2 0.876 0.000 0.731
C3 0.942 0.500 0.027
C4 0.943 0.500 0.528
O1 0.022 0.000 0.202
O2 0.022 0.000 0.702
O3 0.053 0.500 0.124
O4 0.055 0.500 0.625
O5 0.219 0.183 0.465
O6 0.219 0.184 0.966
O7 0.219 0.816 0.966
O8 0.219 0.817 0.465
O9 0.329 0.500 0.787
O10 0.330 0.500 0.287
O11 0.332 0.000 0.176
O12 0.333 0.000 0.676
O13 0.482 0.500 0.581
O14 0.484 0.500 0.083
O15 0.488 0.000 0.473
O16 0.488 0.000 0.973
O17 0.598 0.317 0.792
O18 0.598 0.683 0.792
O19 0.599 0.316 0.293
O20 0.599 0.684 0.293
O21 0.764 0.000 0.134
O22 0.764 0.000 0.634
O23 0.796 0.500 0.057
O24 0.797 0.500 0.556
O25 0.839 0.000 0.355
O26 0.839 0.000 0.854
O27 0.978 0.500 0.904
O28 0.984 0.500 0.405

A plane-wave DFT calculation with PBE with a Hubbard U was carried out for crystalline Li2TiCo3O8 at its relaxed geometry.

Calculated values
**Magnetization**: 1.00 μB per formula unit
**ΔE to the lowest computed polymorph**: 0.0000 eV/atom
**Energy relative to the elements**: -1.980 eV/atom

Cell lengths 8.139, 8.139, 8.139 Å; angles 90.00, 90.00, 90.00 degrees
Fractional coordinates of all 56 atoms:
Li1 0.005 0.495 0.505
Li2 0.245 0.745 0.755
Li3 0.255 0.255 0.255
Li4 0.495 0.505 0.005
Li5 0.505 0.005 0.495
Li6 0.745 0.755 0.245
Li7 0.755 0.245 0.745
Li8 0.995 0.995 0.995
Ti1 0.125 0.875 0.375
Ti2 0.375 0.125 0.875
Ti3 0.625 0.625 0.625
Ti4 0.875 0.375 0.125
Co1 0.124 0.625 0.126
Co2 0.125 0.374 0.876
Co3 0.126 0.124 0.625
Co4 0.374 0.876 0.125
Co5 0.375 0.626 0.376
Co6 0.376 0.375 0.626
Co7 0.624 0.875 0.874
Co8 0.625 0.126 0.124
Co9 0.626 0.376 0.375
Co10 0.874 0.624 0.875
Co11 0.875 0.874 0.624
Co12 0.876 0.125 0.374
O1 0.108 0.608 0.892
O2 0.111 0.888 0.617
O3 0.112 0.117 0.389
O4 0.117 0.389 0.112
O5 0.133 0.138 0.861
O6 0.138 0.861 0.133
O7 0.139 0.633 0.362
O8 0.142 0.358 0.642
O9 0.358 0.642 0.142
O10 0.361 0.367 0.862
O11 0.362 0.139 0.633
O12 0.367 0.862 0.361
O13 0.383 0.611 0.612
O14 0.388 0.883 0.889
O15 0.389 0.112 0.117
O16 0.392 0.392 0.392
O17 0.608 0.892 0.108
O18 0.611 0.612 0.383
O19 0.612 0.383 0.611
O20 0.617 0.111 0.888
O21 0.633 0.362 0.139
O22 0.638 0.639 0.867
O23 0.639 0.867 0.638
O24 0.642 0.142 0.358
O25 0.858 0.858 0.858
O26 0.861 0.133 0.138
O27 0.862 0.361 0.367
O28 0.867 0.638 0.639
O29 0.883 0.889 0.388
O30 0.888 0.617 0.111
O31 0.889 0.388 0.883
O32 0.892 0.108 0.608

A plane-wave DFT calculation with PBE with a Hubbard U was carried out for crystalline CaMn8O16 at its relaxed geometry.

Calculated values
**Magnetization**: 26.00 μB per formula unit
**Energy relative to the elements**: -1.999 eV/atom

Cell lengths 9.799, 5.967, 13.977 Å; angles 90.00, 134.18, 90.00 degrees
Fractional coordinates of all 50 atoms:
Ca1 0.000 0.124 0.000
Ca2 0.000 0.876 0.500
Mn1 0.261 0.127 0.406
Mn2 0.261 0.369 0.905
Mn3 0.261 0.631 0.405
Mn4 0.261 0.873 0.906
Mn5 0.555 0.373 0.718
Mn6 0.555 0.627 0.218
Mn7 0.560 0.125 0.220
Mn8 0.560 0.875 0.720
Mn9 0.590 0.121 0.918
Mn10 0.590 0.879 0.418
Mn11 0.607 0.377 0.425
Mn12 0.607 0.623 0.925
Mn13 0.895 0.124 0.730
Mn14 0.895 0.876 0.230
Mn15 0.896 0.375 0.240
Mn16 0.896 0.625 0.740
O1 0.022 0.112 0.368
O2 0.022 0.888 0.868
O3 0.029 0.348 0.873
O4 0.029 0.652 0.373
O5 0.129 0.375 0.278
O6 0.129 0.625 0.778
O7 0.133 0.119 0.775
O8 0.133 0.881 0.275
O9 0.361 0.378 0.527
O10 0.361 0.622 0.027
O11 0.362 0.123 0.028
O12 0.362 0.877 0.528
O13 0.428 0.121 0.721
O14 0.428 0.879 0.221
O15 0.439 0.373 0.230
O16 0.439 0.627 0.730
O17 0.457 0.126 0.409
O18 0.457 0.874 0.909
O19 0.461 0.368 0.912
O20 0.461 0.632 0.412
O21 0.692 0.376 0.230
O22 0.692 0.624 0.730
O23 0.699 0.125 0.733
O24 0.699 0.875 0.233
O25 0.726 0.355 0.912
O26 0.726 0.645 0.412
O27 0.729 0.108 0.413
O28 0.729 0.892 0.913
O29 0.791 0.117 0.108
O30 0.791 0.883 0.608
O31 0.796 0.374 0.614
O32 0.796 0.626 0.114

- Look up the energy relative to the elements of the second one.
  -1.980 eV/atom